Record 1
An optimized crystal structure of Li7Mn5O12, computed with GGA+U.

Properties
excess energy over the best structure of this formula in the dataset = 0.37 kcal/mol of atoms

The structure in POSCAR format:
```
Li7Mn5O12
1.0
6.039 0.000 0.000
-1.447 6.320 0.000
-0.901 -2.951 11.610
Li Mn O
14 10 24
direct
0.000 0.000 0.000 Li
0.011 0.995 0.741 Li
0.163 0.676 0.084 Li
0.181 0.675 0.580 Li
0.328 0.324 0.910 Li
0.335 0.328 0.427 Li
0.486 0.000 0.755 Li
0.500 0.000 0.500 Li
0.514 0.000 0.245 Li
0.665 0.672 0.573 Li
0.672 0.676 0.090 Li
0.819 0.325 0.420 Li
0.837 0.324 0.916 Li
0.989 0.005 0.259 Li
0.000 0.000 0.500 Mn
0.156 0.667 0.838 Mn
0.167 0.669 0.337 Mn
0.336 0.332 0.163 Mn
0.339 0.329 0.662 Mn
0.500 0.000 0.000 Mn
0.661 0.671 0.338 Mn
0.664 0.668 0.837 Mn
0.833 0.331 0.663 Mn
0.844 0.333 0.162 Mn
0.070 0.342 0.285 O
0.072 0.350 0.793 O
0.073 0.334 0.059 O
0.097 0.315 0.541 O
0.217 0.986 0.385 O
0.240 0.011 0.621 O
0.257 0.984 0.880 O
0.285 0.019 0.114 O
0.393 0.654 0.726 O
0.399 0.658 0.450 O
0.399 0.683 0.961 O
0.432 0.656 0.211 O
0.568 0.344 0.789 O
0.601 0.317 0.039 O
0.601 0.342 0.550 O
0.607 0.346 0.274 O
0.715 0.981 0.886 O
0.743 0.016 0.120 O
0.760 0.989 0.379 O
0.783 0.014 0.615 O
0.903 0.685 0.459 O
0.927 0.666 0.941 O
0.928 0.650 0.207 O
0.930 0.658 0.715 O
```

Record 2
An optimized crystal structure of CoTe2O5, computed with GGA+U.

Properties
excess energy over the best structure of this formula in the dataset = 0.00 kcal/mol of atoms

The structure in POSCAR format:
```
CoTe2O5
1.0
9.096 0.000 0.000
0.000 12.272 0.000
0.000 0.000 8.651
Co Te O
8 16 40
direct
0.014 0.121 0.016 Co
0.014 0.379 0.016 Co
0.486 0.621 0.516 Co
0.486 0.879 0.516 Co
0.514 0.121 0.484 Co
0.514 0.379 0.484 Co
0.986 0.621 0.984 Co
0.986 0.879 0.984 Co
0.105 0.250 0.699 Te
0.151 0.512 0.340 Te
0.151 0.988 0.340 Te
0.168 0.750 0.682 Te
0.332 0.250 0.182 Te
0.349 0.012 0.840 Te
0.349 0.488 0.840 Te
0.395 0.750 0.199 Te
0.605 0.250 0.801 Te
0.651 0.512 0.160 Te
0.651 0.988 0.160 Te
0.668 0.750 0.818 Te
0.832 0.250 0.318 Te
0.849 0.012 0.660 Te
0.849 0.488 0.660 Te
0.895 0.750 0.301 Te
0.009 0.628 0.405 O
0.009 0.872 0.405 O
0.030 0.750 0.130 O
0.119 0.512 0.121 O
0.119 0.988 0.121 O
0.122 0.250 0.158 O
0.156 0.629 0.823 O
0.156 0.871 0.823 O
0.190 0.114 0.852 O
0.190 0.386 0.852 O
0.310 0.614 0.352 O
0.310 0.886 0.352 O
0.344 0.129 0.323 O
0.344 0.371 0.323 O
0.378 0.750 0.658 O
0.381 0.012 0.621 O
0.381 0.488 0.621 O
0.470 0.250 0.630 O
0.491 0.128 0.905 O
0.491 0.372 0.905 O
0.509 0.628 0.095 O
0.509 0.872 0.095 O
0.530 0.750 0.370 O
0.619 0.512 0.379 O
0.619 0.988 0.379 O
0.622 0.250 0.342 O
0.656 0.629 0.677 O
0.656 0.871 0.677 O
0.690 0.114 0.648 O
0.690 0.386 0.648 O
0.810 0.614 0.148 O
0.810 0.886 0.148 O
0.844 0.129 0.177 O
0.844 0.371 0.177 O
0.878 0.750 0.842 O
0.881 0.012 0.879 O
0.881 0.488 0.879 O
0.970 0.250 0.870 O
0.991 0.128 0.595 O
0.991 0.372 0.595 O
```

Record 3
An optimized crystal structure of SrMg14CoO16, computed with GGA+U.

Properties
excess energy over the best structure of this formula in the dataset = 0.49 kcal/mol of atoms

The structure in POSCAR format:
```
SrMg14CoO16
1.0
8.661 0.000 0.000
0.000 8.661 0.000
0.000 0.000 4.378
Sr Mg Co O
1 14 1 16
direct
0.000 0.000 0.000 Sr
0.000 0.260 0.500 Mg
0.000 0.500 0.000 Mg
0.000 0.740 0.500 Mg
0.251 0.500 0.500 Mg
0.256 0.256 0.000 Mg
0.256 0.744 0.000 Mg
0.260 0.000 0.500 Mg
0.500 0.000 0.000 Mg
0.500 0.251 0.500 Mg
0.500 0.749 0.500 Mg
0.740 0.000 0.500 Mg
0.744 0.256 0.000 Mg
0.744 0.744 0.000 Mg
0.749 0.500 0.500 Mg
0.500 0.500 0.000 Co
0.000 0.000 0.500 O
0.000 0.271 0.000 O
0.000 0.500 0.500 O
0.000 0.729 0.000 O
0.251 0.251 0.500 O
0.251 0.749 0.500 O
0.252 0.500 0.000 O
0.271 0.000 0.000 O
0.500 0.000 0.500 O
0.500 0.252 0.000 O
0.500 0.500 0.500 O
0.500 0.748 0.000 O
0.729 0.000 0.000 O
0.748 0.500 0.000 O
0.749 0.251 0.500 O
0.749 0.749 0.500 O
```

Record 4
An optimized crystal structure of Li9Mn2Co5O16, computed with GGA+U.

Properties
excess energy over the best structure of this formula in the dataset = 0.93 kcal/mol of atoms

The structure in POSCAR format:
```
Li9Mn2Co5O16
1.0
5.942 0.000 0.000
2.642 5.887 0.000
2.848 -0.100 8.100
Li Mn Co O
9 2 5 16
direct
0.000 0.000 0.000 Li
0.244 0.240 0.760 Li
0.249 0.757 0.240 Li
0.259 0.494 0.002 Li
0.260 0.993 0.500 Li
0.740 0.007 0.500 Li
0.741 0.506 0.998 Li
0.751 0.243 0.760 Li
0.756 0.760 0.240 Li
0.000 0.500 0.500 Mn
0.500 0.500 0.500 Mn
0.003 0.244 0.247 Co
0.483 0.762 0.753 Co
0.500 0.000 0.000 Co
0.517 0.238 0.247 Co
0.997 0.756 0.753 Co
0.109 0.486 0.261 O
0.113 0.986 0.749 O
0.153 0.722 0.508 O
0.163 0.221 0.015 O
0.390 0.260 0.488 O
0.391 0.508 0.739 O
0.394 0.763 0.985 O
0.397 0.007 0.238 O
0.603 0.993 0.762 O
0.606 0.237 0.015 O
0.609 0.492 0.261 O
0.610 0.740 0.512 O
0.837 0.779 0.985 O
0.847 0.278 0.492 O
0.887 0.014 0.251 O
0.891 0.514 0.739 O
```

Record 5
An optimized crystal structure of NaNdEuWO6, computed with GGA+U.

Properties
excess energy over the best structure of this formula in the dataset = 2.03 kcal/mol of atoms

The structure in POSCAR format:
```
NaNdEuWO6
1.0
0.000 4.064 4.064
4.064 0.000 4.064
4.064 4.064 0.000
Na Nd Eu W O
1 1 1 1 6
direct
0.000 0.000 0.000 Na
0.250 0.250 0.250 Nd
0.750 0.750 0.750 Eu
0.500 0.500 0.500 W
0.262 0.262 0.738 O
0.262 0.738 0.262 O
0.262 0.738 0.738 O
0.738 0.262 0.262 O
0.738 0.262 0.738 O
0.738 0.738 0.262 O
```

Record 6
An optimized crystal structure of Ga2MoSe2O10, computed with GGA+U.

The structure in POSCAR format:
```
Ga2MoSe2O10
1.0
8.947 0.000 0.000
0.000 6.145 0.000
0.000 0.000 15.318
Ga Mo Se O
8 4 8 40
direct
0.006 0.007 0.148 Ga
0.006 0.493 0.148 Ga
0.494 0.507 0.648 Ga
0.494 0.993 0.648 Ga
0.506 0.007 0.352 Ga
0.506 0.493 0.352 Ga
0.994 0.507 0.852 Ga
0.994 0.993 0.852 Ga
0.163 0.750 0.663 Mo
0.337 0.250 0.163 Mo
0.663 0.750 0.837 Mo
0.837 0.250 0.337 Mo
0.194 0.750 0.306 Se
0.226 0.750 0.991 Se
0.274 0.250 0.491 Se
0.306 0.250 0.806 Se
0.694 0.750 0.194 Se
0.726 0.750 0.509 Se
0.774 0.250 0.009 Se
0.806 0.250 0.694 Se
0.080 0.528 0.613 O
0.080 0.972 0.613 O
0.085 0.750 0.779 O
0.095 0.750 0.080 O
0.105 0.250 0.799 O
0.134 0.250 0.110 O
0.162 0.529 0.934 O
0.162 0.971 0.934 O
0.166 0.529 0.238 O
0.166 0.971 0.238 O
0.334 0.029 0.738 O
0.334 0.471 0.738 O
0.338 0.029 0.434 O
0.338 0.471 0.434 O
0.366 0.750 0.610 O
0.395 0.750 0.299 O
0.405 0.250 0.580 O
0.415 0.250 0.279 O
0.420 0.028 0.113 O
0.420 0.472 0.113 O
0.580 0.528 0.887 O
0.580 0.972 0.887 O
0.585 0.750 0.721 O
0.595 0.750 0.420 O
0.605 0.250 0.701 O
0.634 0.250 0.390 O
0.662 0.529 0.566 O
0.662 0.971 0.566 O
0.666 0.529 0.262 O
0.666 0.971 0.262 O
0.834 0.029 0.762 O
0.834 0.471 0.762 O
0.838 0.029 0.066 O
0.838 0.471 0.066 O
0.866 0.750 0.890 O
0.895 0.750 0.201 O
0.905 0.250 0.920 O
0.915 0.250 0.221 O
0.920 0.028 0.387 O
0.920 0.472 0.387 O
```

Record 7
An optimized crystal structure of Na4FeO5, computed with GGA+U.

Properties
excess energy over the best structure of this formula in the dataset = 0.44 kcal/mol of atoms

The structure in POSCAR format:
```
Na4FeO5
1.0
7.314 0.000 0.000
0.068 8.751 0.000
3.643 0.827 8.017
Na Fe O
16 4 20
direct
0.000 0.000 0.000 Na
0.031 0.554 0.311 Na
0.156 0.669 0.906 Na
0.192 0.200 0.211 Na
0.247 0.752 0.510 Na
0.283 0.298 0.809 Na
0.395 0.402 0.419 Na
0.444 0.948 0.715 Na
0.488 0.513 0.011 Na
0.544 0.057 0.306 Na
0.653 0.143 0.903 Na
0.689 0.694 0.219 Na
0.745 0.258 0.514 Na
0.787 0.805 0.812 Na
0.897 0.897 0.413 Na
0.943 0.438 0.716 Na
0.112 0.082 0.574 Fe
0.327 0.869 0.147 Fe
0.579 0.610 0.641 Fe
0.842 0.357 0.113 Fe
0.082 0.801 0.152 O
0.086 0.280 0.486 O
0.103 0.420 0.063 O
0.108 0.917 0.727 O
0.221 0.976 0.360 O
0.331 0.035 0.994 O
0.338 0.544 0.647 O
0.351 0.671 0.236 O
0.353 0.152 0.573 O
0.491 0.709 0.822 O
0.586 0.305 0.137 O
0.587 0.771 0.489 O
0.601 0.905 0.080 O
0.604 0.417 0.734 O
0.738 0.438 0.310 O
0.837 0.046 0.641 O
0.850 0.644 0.575 O
0.851 0.541 0.986 O
0.864 0.173 0.229 O
0.926 0.245 0.930 O
```

Record 8
An optimized crystal structure of KMo8O12, computed with GGA+U.

The structure in POSCAR format:
```
KMo8O12
1.0
10.249 0.000 0.000
0.000 3.309 0.000
-0.048 0.000 10.260
K Mo O
1 8 12
direct
0.000 0.000 0.000 K
0.106 0.901 0.635 Mo
0.164 0.405 0.366 Mo
0.341 0.404 0.861 Mo
0.383 0.902 0.127 Mo
0.617 0.902 0.873 Mo
0.659 0.404 0.139 Mo
0.836 0.405 0.634 Mo
0.894 0.901 0.365 Mo
0.007 0.401 0.729 O
0.207 0.401 0.552 O
0.237 0.903 0.800 O
0.250 0.903 0.287 O
0.274 0.402 0.044 O
0.484 0.402 0.212 O
0.516 0.402 0.788 O
0.726 0.402 0.956 O
0.750 0.903 0.713 O
0.763 0.903 0.200 O
0.793 0.401 0.448 O
0.993 0.401 0.271 O
```

Record 9
An optimized crystal structure of Cr3Co2O12, computed with GGA+U.

Properties
excess energy over the best structure of this formula in the dataset = 0.00 kcal/mol of atoms

The structure in POSCAR format:
```
Cr3Co2O12
1.0
8.754 0.000 0.000
0.000 9.016 0.000
-8.613 0.000 12.441
Cr Co O
12 8 48
direct
0.027 0.116 0.142 Cr
0.027 0.384 0.642 Cr
0.258 0.623 0.148 Cr
0.258 0.877 0.648 Cr
0.451 0.247 0.492 Cr
0.451 0.253 0.992 Cr
0.549 0.747 0.008 Cr
0.549 0.753 0.508 Cr
0.742 0.123 0.352 Cr
0.742 0.377 0.852 Cr
0.973 0.616 0.358 Cr
0.973 0.884 0.858 Cr
0.125 0.531 0.880 Co
0.125 0.969 0.380 Co
0.364 0.525 0.615 Co
0.364 0.975 0.115 Co
0.636 0.025 0.885 Co
0.636 0.475 0.385 Co
0.875 0.031 0.620 Co
0.875 0.469 0.120 Co
0.008 0.210 0.677 O
0.008 0.290 0.177 O
0.113 0.003 0.246 O
0.113 0.497 0.746 O
0.118 0.578 0.185 O
0.118 0.922 0.685 O
0.160 0.575 0.021 O
0.160 0.925 0.521 O
0.165 0.113 0.099 O
0.165 0.387 0.599 O
0.186 0.562 0.456 O
0.186 0.938 0.956 O
0.248 0.155 0.436 O
0.248 0.345 0.936 O
0.290 0.688 0.657 O
0.290 0.812 0.157 O
0.376 0.628 0.943 O
0.376 0.872 0.443 O
0.456 0.170 0.896 O
0.456 0.330 0.396 O
0.459 0.537 0.226 O
0.459 0.963 0.726 O
0.470 0.130 0.081 O
0.470 0.370 0.581 O
0.530 0.630 0.419 O
0.530 0.870 0.919 O
0.541 0.037 0.274 O
0.541 0.463 0.774 O
0.544 0.670 0.604 O
0.544 0.830 0.104 O
0.624 0.128 0.557 O
0.624 0.372 0.057 O
0.710 0.188 0.843 O
0.710 0.312 0.343 O
0.752 0.655 0.064 O
0.752 0.845 0.564 O
0.814 0.062 0.044 O
0.814 0.438 0.544 O
0.835 0.613 0.401 O
0.835 0.887 0.901 O
0.840 0.075 0.479 O
0.840 0.425 0.979 O
0.882 0.078 0.315 O
0.882 0.422 0.815 O
0.887 0.503 0.254 O
0.887 0.997 0.754 O
0.992 0.710 0.823 O
0.992 0.790 0.323 O
```

| no. | MP2020-corrected energy (eV per atom) | total magnetic moment (μB per formula unit) | DFT formation energy (eV per atom) |
| --- | --- | --- | --- |
| 1 | -7.080 | 18.0 | -2.1405 |
| 2 | -6.238 | 3.0 | -1.4710 |
| 3 | -6.279 | 3.0 | -2.8295 |
| 4 | -6.518 | 12.0 | -1.8238 |
| 5 | -8.586 | 7.0 | -2.6869 |
| 6 | -6.647 | 0.0 | -1.7553 |
| 7 | -5.320 | 4.8 | -1.4702 |
| 8 | -8.523 | 19.0 | -1.5106 |
| 9 | -7.494 | 8.0 | -1.4614 |